The following is a DFT calculation (PBE) of a geometry-optimized KGaP2H2 structure.

Final energy: -87.9 eV per cell
Calculated formation energy: -0.098 eV/atom
Excess energy over the best structure of this formula in the dataset: 104 meV per atom
Calculated volume: 25.091 A^3/atom

abc: 8.1132 10.6400 6.9758
angles: 90.00 90.00 90.00
Last column: nearest neighbours and their distance in Å.
Positions (direct):
P1 0.9980 0.5590 0.1153  1 P 2.04
P2 0.4980 0.4410 0.8847  1 P 2.04
P3 0.5020 0.5590 0.1153  1 P 2.04
P4 0.4980 0.9410 0.6153  1 P 2.04
P5 0.0020 0.4410 0.8847  1 P 2.04
P6 0.5020 0.0590 0.3847  1 P 2.04
P7 0.9980 0.0590 0.3847  1 P 2.04
P8 0.0020 0.9410 0.6153  1 P 2.04
H1 0.7500 0.3442 0.5681  1 Ga 1.60
H2 0.2500 0.6558 0.4319  1 Ga 1.60
H3 0.7500 0.0944 0.9038  1 Ga 1.59
H4 0.7500 0.8442 0.9319  1 Ga 1.60
H5 0.7500 0.5944 0.5962  1 Ga 1.59
H6 0.2500 0.4056 0.4038  1 Ga 1.59
H7 0.2500 0.1558 0.0681  1 Ga 1.60
H8 0.2500 0.9056 0.0962  1 Ga 1.59
Ga1 0.2500 0.0360 0.2073  2 H 1.59-1.60
Ga2 0.7500 0.4640 0.7073  2 H 1.59-1.60
Ga3 0.2500 0.5360 0.2927  2 H 1.59-1.60
Ga4 0.7500 0.9640 0.7927  2 H 1.59-1.60
K1 0.7500 0.2752 0.2024  2 H 2.65-2.84
K2 0.7500 0.7752 0.2976  2 H 2.65-2.84
K3 0.2500 0.2248 0.7024  2 H 2.65-2.84
K4 0.2500 0.7248 0.7976  2 H 2.65-2.84